First-principles (r²SCAN) data for an optimized crystal structure of Bi2Se3O9, as listed in the Materials Project.

Computed properties:
ΔE_f ... -1.077 eV per atom
Total moment ... 0.00 μB/f.u.
DFT total energy ... -16.341 eV per atom
Density ... 6.2 g/cm3

abc: 4.6773 13.5076 15.2843
angles: 62.51 90.00 90.00
Atoms (fractional coordinates):
1 Bi 0.3607 0.6520 0.6569
2 Bi 0.8607 0.3480 0.8431
3 Bi 0.6393 0.3480 0.3431
4 Bi 0.1393 0.6520 0.1569
5 Bi 0.3594 0.8324 0.3101
6 Bi 0.8594 0.1676 0.1899
7 Bi 0.6406 0.1676 0.6899
8 Bi 0.1406 0.8324 0.8101
9 Se 0.2891 0.4323 0.6213
10 Se 0.7891 0.5677 0.8787
11 Se 0.7109 0.5677 0.3787
12 Se 0.2109 0.4323 0.1213
13 Se 0.3851 0.1717 0.0176
14 Se 0.8851 0.8283 0.4824
15 Se 0.6149 0.8283 0.9824
16 Se 0.1149 0.1717 0.5176
17 Se 0.4067 0.0701 0.3701
18 Se 0.9067 0.9299 0.1299
19 Se 0.5933 0.9299 0.6299
20 Se 0.0933 0.0701 0.8701
21 O 0.2478 0.8191 0.9893
22 O 0.7478 0.1809 0.5107
23 O 0.7522 0.1809 0.0107
24 O 0.2522 0.8191 0.4893
25 O 0.4691 0.7974 0.7063
26 O 0.9691 0.2026 0.7937
27 O 0.5309 0.2026 0.2937
28 O 0.0309 0.7974 0.2063
29 O 0.4675 0.9886 0.7003
30 O 0.9675 0.0114 0.7997
31 O 0.5325 0.0114 0.2997
32 O 0.0325 0.9886 0.2003
33 O 0.4531 0.5589 0.5636
34 O 0.9531 0.4411 0.9364
35 O 0.5469 0.4411 0.4364
36 O 0.0469 0.5589 0.0636
37 O 0.4332 0.6550 0.3175
38 O 0.9332 0.3450 0.1825
39 O 0.5668 0.3450 0.6825
40 O 0.0668 0.6550 0.8175
41 O 0.0511 0.0842 0.3446
42 O 0.5511 0.9158 0.1554
43 O 0.9489 0.9158 0.6554
44 O 0.4489 0.0842 0.8446
45 O 0.1547 0.4574 0.7162
46 O 0.6547 0.5426 0.7838
47 O 0.8453 0.5426 0.2838
48 O 0.3453 0.4574 0.2162
49 O 0.1898 0.2899 0.4099
50 O 0.6898 0.7101 0.0901
51 O 0.8102 0.7101 0.5901
52 O 0.3102 0.2899 0.9099
53 O 0.1669 0.2113 0.6078
54 O 0.6669 0.7887 0.8922
55 O 0.8331 0.7887 0.3922
56 O 0.3331 0.2113 0.1078